A plane-wave DFT calculation with GGA-PBE was carried out for crystalline Ba3MgIr2O9 at its relaxed geometry.

Calculated values
**Space group**: P6_3/mmc (194)
**Crystal system**: hexagonal

Unit cell a=5.839 b=5.839 c=14.467 alpha=90.00 beta=90.00 gamma=120.00
Element x y z (fractional)
Ba 0.333 0.667 0.914
Ba 0.667 0.333 0.414
Ba 0.333 0.667 0.586
Ba 0.000 0.000 0.250
Ba 0.667 0.333 0.086
Ba 0.000 0.000 0.750
Mg 0.000 0.000 0.500
Mg 0.000 0.000 0.000
Ir 0.333 0.667 0.344
Ir 0.667 0.333 0.656
Ir 0.333 0.667 0.156
Ir 0.667 0.333 0.844
O 0.171 0.829 0.082
O 0.829 0.658 0.582
O 0.516 0.484 0.750
O 0.342 0.171 0.918
O 0.484 0.516 0.250
O 0.342 0.171 0.582
O 0.032 0.516 0.250
O 0.829 0.171 0.582
O 0.516 0.032 0.750
O 0.658 0.829 0.082
O 0.171 0.829 0.418
O 0.968 0.484 0.750
O 0.829 0.171 0.918
O 0.658 0.829 0.418
O 0.171 0.342 0.418
O 0.171 0.342 0.082
O 0.484 0.968 0.250
O 0.829 0.658 0.918

=====

A plane-wave DFT calculation with GGA-PBE was carried out for crystalline Zr5Se8 at its relaxed geometry.

Calculated values
**Space group**: P1 (1)
**Crystal system**: triclinic

Unit cell a=4.112 b=15.114 c=7.108 alpha=74.84 beta=89.96 gamma=82.77
Element x y z (fractional)
Zr 0.780 0.438 0.463
Zr 0.955 0.092 0.607
Zr 0.453 0.094 0.124
Zr 0.200 0.605 0.514
Zr 0.703 0.603 0.046
Se 0.252 0.499 0.231
Se 0.739 0.520 0.747
Se 0.495 0.008 0.505
Se 0.990 0.018 0.983
Se 0.371 0.258 0.039
Se 0.866 0.262 0.538
Se 0.615 0.767 0.955
Se 0.115 0.769 0.448

=====

A plane-wave DFT calculation with GGA-PBE was carried out for crystalline K9Eu3Si12O32F2 at its relaxed geometry.

Calculated values
**Space group**: P-1 (2)
**Crystal system**: triclinic

Unit cell a=6.994 b=11.585 c=11.665 alpha=92.18 beta=89.69 gamma=100.17
Element x y z (fractional)
Eu 0.486 0.512 0.334
Eu 0.514 0.488 0.666
Eu 0.000 0.000 0.500
K 0.014 0.670 0.509
K 0.270 0.383 0.018
K 0.168 0.151 0.213
K 0.170 0.190 0.778
K 0.730 0.617 0.982
K 0.986 0.330 0.491
K 0.832 0.849 0.787
K 0.500 0.000 0.000
K 0.830 0.810 0.222
Si 0.662 0.136 0.690
Si 0.338 0.864 0.310
Si 0.448 0.231 0.489
Si 0.309 0.696 0.842
Si 0.656 0.091 0.304
Si 0.552 0.769 0.511
Si 0.984 0.513 0.256
Si 0.691 0.304 0.158
Si 0.284 0.668 0.118
Si 0.716 0.332 0.882
Si 0.344 0.909 0.696
Si 0.016 0.487 0.744
O 0.544 0.397 0.844
O 0.472 0.373 0.484
O 0.288 0.691 0.981
O 0.066 0.586 0.139
O 0.843 0.034 0.330
O 0.311 0.836 0.817
O 0.491 0.794 0.376
O 0.843 0.489 0.653
O 0.689 0.164 0.183
O 0.286 0.797 0.183
O 0.157 0.511 0.347
O 0.503 0.351 0.207
O 0.712 0.309 0.019
O 0.497 0.649 0.793
O 0.813 0.575 0.312
O 0.457 0.994 0.275
O 0.615 0.184 0.407
O 0.456 0.603 0.156
O 0.934 0.414 0.861
O 0.100 0.625 0.789
O 0.768 0.836 0.542
O 0.187 0.425 0.688
O 0.714 0.203 0.817
O 0.509 0.206 0.624
O 0.543 0.006 0.725
O 0.157 0.966 0.670
O 0.856 0.128 0.620
O 0.385 0.816 0.593
O 0.900 0.375 0.211
O 0.144 0.872 0.380
O 0.528 0.627 0.516
O 0.232 0.164 0.458
F 0.755 0.844 0.004
F 0.245 0.156 0.996

=====

A plane-wave DFT calculation with GGA-PBE was carried out for crystalline Pr2IrPd at its relaxed geometry.

Calculated values
**Space group**: Fm-3m (225)
**Crystal system**: cubic

Unit cell a=5.103 b=5.103 c=5.103 alpha=60.00 beta=60.00 gamma=60.00
Element x y z (fractional)
Pr 0.250 0.250 0.250
Pr 0.750 0.750 0.750
Ir 0.500 0.500 0.500
Pd 0.000 0.000 0.000

=====

| no. | DFT total energy (eV/atom) |
| --- | --- |
| 1 | -6.549 |
| 2 | -6.165 |
| 3 | -7.306 |
| 4 | -6.567 |